Crystalline LiFe2Si2O7 at its relaxed geometry. Source: the Materials Project database, functional GGA+U.

Properties
ΔE_f ... -2.51 eV per atom
DFT total energy ... -340.53 eV per cell
Crystal system ... monoclinic

abc: 5.666 12.992 10.436
angles: 90.00 121.58 90.00
Space group P2_1/c (No. 14)
One atom of each set of equivalent atoms:
Li 0.065 0.226 0.376 x4
Fe 0.153 0.507 0.778 x4
Fe 0.468 0.102 0.124 x4
Si 0.208 0.615 0.527 x4
Si 0.369 0.665 0.050 x4
O 0.084 0.160 0.005 x4
O 0.146 0.622 0.882 x4
O 0.196 0.541 0.393 x4
O 0.268 0.656 0.169 x4
O 0.324 0.115 0.389 x4
O 0.351 0.543 0.680 x4
O 0.418 0.708 0.534 x4